This record from Materials Project describes a geometry-optimized MgSi2 structure. The functional is PBE-GGA.

```
data_MgSi2
_cell_length_a 4.266
_cell_length_b 3.667
_cell_length_c 6.690
_cell_angle_alpha 90.00
_cell_angle_beta 106.87
_cell_angle_gamma 90.00
_symmetry_space_group_name_H-M 'P 1'
_symmetry_Int_Tables_number 1
_symmetry_space_group_name_Hall 'P 1'
loop_
_atom_site_label
_atom_site_fract_x
_atom_site_fract_y
_atom_site_fract_z
Mg1 0.095 0.250 0.188
Mg2 0.905 0.750 0.812
Si1 0.270 0.750 0.532
Si2 0.431 0.250 0.861
Si3 0.569 0.750 0.139
Si4 0.730 0.250 0.468
```

## Properties
The value obtained for the energy relative to the lowest polymorph listed for this composition is 195 meV per atom. For the total DFT energy (no corrections), the calculation gives -23.6 eV/cell. As for the space-group type: P2_1/m. The formation energy from the elements comes out at 0.272 eV/atom.


This record from Materials Project describes a geometry-optimized BAs5Pb6O20 structure. The functional is PBE-GGA.

```
data_BAs5Pb6O20
_cell_length_a 7.337
_cell_length_b 7.337
_cell_length_c 10.290
_cell_angle_alpha 90.00
_cell_angle_beta 90.00
_cell_angle_gamma 90.00
_symmetry_space_group_name_H-M 'P 1'
_symmetry_Int_Tables_number 1
_symmetry_space_group_name_Hall 'P 1'
loop_
_atom_site_label
_atom_site_fract_x
_atom_site_fract_y
_atom_site_fract_z
B1 0.000 0.000 0.000
As1 0.183 0.207 0.215
As2 0.207 0.817 0.785
As3 0.500 0.500 0.500
As4 0.793 0.183 0.785
As5 0.817 0.793 0.215
Pb1 0.000 0.500 0.497
Pb2 0.297 0.298 0.809
Pb3 0.298 0.703 0.191
Pb4 0.500 0.000 0.503
Pb5 0.702 0.297 0.191
Pb6 0.703 0.702 0.809
O1 0.017 0.298 0.313
O2 0.021 0.710 0.722
O3 0.046 0.165 0.076
O4 0.165 0.954 0.924
O5 0.290 0.021 0.278
O6 0.298 0.983 0.687
O7 0.344 0.631 0.416
O8 0.345 0.363 0.167
O9 0.363 0.655 0.833
O10 0.369 0.344 0.584
O11 0.631 0.656 0.584
O12 0.637 0.345 0.833
O13 0.655 0.637 0.167
O14 0.656 0.369 0.416
O15 0.702 0.017 0.687
O16 0.710 0.979 0.278
O17 0.835 0.046 0.924
O18 0.954 0.835 0.076
O19 0.979 0.290 0.722
O20 0.983 0.702 0.313
```

## Properties
For the total DFT energy (no corrections), the calculation gives -195.8 eV/cell. As for the space-group type: P-4. The formation energy from the elements comes out at -1.822 eV/atom.


This record from Materials Project describes a geometry-optimized AlPO4 structure. The functional is PBE-GGA.

```
data_AlPO4
_cell_length_a 12.604
_cell_length_b 12.604
_cell_length_c 12.604
_cell_angle_alpha 81.05
_cell_angle_beta 113.22
_cell_angle_gamma 139.58
_symmetry_space_group_name_H-M 'P 1'
_symmetry_Int_Tables_number 1
_symmetry_space_group_name_Hall 'P 1'
loop_
_atom_site_label
_atom_site_fract_x
_atom_site_fract_y
_atom_site_fract_z
Al1 0.141 0.749 0.892
Al2 0.143 0.036 0.179
Al3 0.143 0.464 0.606
Al4 0.451 0.604 0.055
Al5 0.451 0.896 0.347
Al6 0.549 0.104 0.653
Al7 0.549 0.396 0.945
Al8 0.857 0.249 0.108
Al9 0.857 0.536 0.394
Al10 0.857 0.964 0.821
P1 0.075 0.230 0.056
P2 0.075 0.520 0.345
P3 0.175 0.020 0.944
P4 0.175 0.730 0.655
P5 0.480 0.161 0.391
P6 0.480 0.589 0.819
P7 0.488 0.874 0.114
P8 0.760 0.374 0.886
P9 0.770 0.089 0.609
P10 0.770 0.661 0.181
O1 0.015 0.662 0.539
O2 0.015 0.976 0.853
O3 0.124 0.162 0.147
O4 0.124 0.476 0.461
O5 0.152 0.745 0.760
O6 0.152 0.892 0.906
O7 0.179 0.012 0.069
O8 0.179 0.610 0.667
O9 0.248 0.404 0.051
O10 0.248 0.697 0.344
O11 0.321 0.809 0.012
O12 0.325 0.131 0.316
O13 0.325 0.509 0.694
O14 0.353 0.197 0.949
O15 0.353 0.904 0.656
O16 0.442 0.031 0.333
O17 0.442 0.610 0.912
O18 0.487 0.754 0.103
O19 0.487 0.884 0.233
O20 0.490 0.145 0.517
O21 0.490 0.474 0.846
O22 0.628 0.645 0.154
O23 0.628 0.974 0.483
O24 0.651 0.254 0.767
O25 0.651 0.384 0.897
O26 0.659 0.050 0.110
O27 0.659 0.339 0.397
O28 0.659 0.762 0.820
O29 0.698 0.110 0.667
O30 0.698 0.531 0.088
O31 0.797 0.309 0.988
O32 0.814 0.009 0.684
O33 0.814 0.631 0.306
O34 0.940 0.550 0.890
O35 0.942 0.262 0.603
O36 0.942 0.839 0.180
O37 0.943 0.110 0.931
O38 0.943 0.512 0.333
O39 0.986 0.245 0.094
O40 0.986 0.392 0.240
```

## Properties
For the total DFT energy (no corrections), the calculation gives -448.6 eV/cell. As for the space-group type: Ima2. The formation energy from the elements comes out at -3.109 eV/atom.


This record from Materials Project describes a geometry-optimized Tb2Ti2O7 structure. The functional is PBE-GGA.

```
data_Tb2Ti2O7
_cell_length_a 7.550
_cell_length_b 5.381
_cell_length_c 13.249
_cell_angle_alpha 90.00
_cell_angle_beta 98.36
_cell_angle_gamma 90.00
_symmetry_space_group_name_H-M 'P 1'
_symmetry_Int_Tables_number 1
_symmetry_space_group_name_Hall 'P 1'
loop_
_atom_site_label
_atom_site_fract_x
_atom_site_fract_y
_atom_site_fract_z
Tb1 0.144 0.000 0.064
Tb2 0.236 0.598 0.425
Tb3 0.284 0.118 0.632
Tb4 0.352 0.579 0.884
Tb5 0.648 0.079 0.116
Tb6 0.716 0.618 0.368
Tb7 0.764 0.098 0.575
Tb8 0.856 0.500 0.936
Ti1 0.030 0.598 0.623
Ti2 0.069 0.075 0.821
Ti3 0.411 0.564 0.171
Ti4 0.470 0.099 0.372
Ti5 0.530 0.599 0.628
Ti6 0.589 0.064 0.829
Ti7 0.931 0.575 0.179
Ti8 0.970 0.098 0.377
O1 0.010 0.932 0.680
O2 0.057 0.331 0.524
O3 0.073 0.798 0.907
O4 0.127 0.412 0.732
O5 0.138 0.293 0.931
O6 0.173 0.683 0.185
O7 0.222 0.023 0.383
O8 0.273 0.712 0.591
O9 0.326 0.985 0.805
O10 0.366 0.265 0.115
O11 0.412 0.770 0.053
O12 0.423 0.435 0.321
O13 0.455 0.336 0.529
O14 0.487 0.414 0.738
O15 0.513 0.914 0.262
O16 0.545 0.836 0.471
O17 0.577 0.935 0.679
O18 0.588 0.270 0.947
O19 0.634 0.765 0.885
O20 0.674 0.485 0.195
O21 0.727 0.212 0.409
O22 0.778 0.523 0.617
O23 0.827 0.183 0.815
O24 0.862 0.793 0.069
O25 0.873 0.912 0.268
O26 0.927 0.298 0.093
O27 0.943 0.831 0.476
O28 0.990 0.432 0.320
```

## Properties
For the total DFT energy (no corrections), the calculation gives -386.1 eV/cell. As for the space-group type: P2_1. The formation energy from the elements comes out at -3.786 eV/atom.


This record from Materials Project describes a geometry-optimized ScB2 structure. The functional is PBE-GGA.

```
data_ScB2
_cell_length_a 4.332
_cell_length_b 4.332
_cell_length_c 4.332
_cell_angle_alpha 60.00
_cell_angle_beta 60.00
_cell_angle_gamma 60.00
_symmetry_space_group_name_H-M 'P 1'
_symmetry_Int_Tables_number 1
_symmetry_space_group_name_Hall 'P 1'
loop_
_atom_site_label
_atom_site_fract_x
_atom_site_fract_y
_atom_site_fract_z
Sc1 0.125 0.125 0.125
Sc2 0.875 0.875 0.875
B1 0.000 0.500 0.500
B2 0.500 0.000 0.500
B3 0.500 0.500 0.000
B4 0.500 0.500 0.500
```

## Properties
For the total DFT energy (no corrections), the calculation gives -39.0 eV/cell. As for the space-group type: Fd-3m. The formation energy from the elements comes out at 0.069 eV/atom.


This record from Materials Project describes a geometry-optimized CsPrCdSe3 structure. The functional is PBE-GGA.

```
data_CsPrCdSe3
_cell_length_a 8.486
_cell_length_b 8.486
_cell_length_c 11.553
_cell_angle_alpha 90.00
_cell_angle_beta 90.00
_cell_angle_gamma 149.71
_symmetry_space_group_name_H-M 'P 1'
_symmetry_Int_Tables_number 1
_symmetry_space_group_name_Hall 'P 1'
loop_
_atom_site_label
_atom_site_fract_x
_atom_site_fract_y
_atom_site_fract_z
Cs1 0.245 0.755 0.750
Cs2 0.755 0.245 0.250
Pr1 0.500 0.500 0.000
Pr2 0.500 0.500 0.500
Cd1 0.037 0.963 0.250
Cd2 0.963 0.037 0.750
Se1 0.119 0.881 0.054
Se2 0.119 0.881 0.446
Se3 0.438 0.562 0.250
Se4 0.562 0.438 0.750
Se5 0.881 0.119 0.554
Se6 0.881 0.119 0.946
```

## Properties
For the total DFT energy (no corrections), the calculation gives -50.5 eV/cell. As for the space-group type: Cmcm. The formation energy from the elements comes out at -1.593 eV/atom.


This record from Materials Project describes a geometry-optimized CaTlCl3 structure. The functional is PBE-GGA.

```
data_CaTlCl3
_cell_length_a 7.238
_cell_length_b 7.238
_cell_length_c 10.348
_cell_angle_alpha 90.00
_cell_angle_beta 90.00
_cell_angle_gamma 146.87
_symmetry_space_group_name_H-M 'P 1'
_symmetry_Int_Tables_number 1
_symmetry_space_group_name_Hall 'P 1'
loop_
_atom_site_label
_atom_site_fract_x
_atom_site_fract_y
_atom_site_fract_z
Ca1 0.000 0.000 0.000
Ca2 0.000 0.000 0.500
Tl1 0.259 0.741 0.750
Tl2 0.741 0.259 0.250
Cl1 0.069 0.931 0.250
Cl2 0.371 0.629 0.050
Cl3 0.371 0.629 0.450
Cl4 0.629 0.371 0.550
Cl5 0.629 0.371 0.950
Cl6 0.931 0.069 0.750
```

## Properties
For the total DFT energy (no corrections), the calculation gives -38.4 eV/cell. As for the space-group type: Cmcm. The formation energy from the elements comes out at -2.228 eV/atom.


This record from Materials Project describes a geometry-optimized Ba2LuBiO6 structure. The functional is PBE-GGA.

```
data_Ba2LuBiO6
_cell_length_a 6.098
_cell_length_b 6.098
_cell_length_c 6.098
_cell_angle_alpha 60.00
_cell_angle_beta 60.00
_cell_angle_gamma 60.00
_symmetry_space_group_name_H-M 'P 1'
_symmetry_Int_Tables_number 1
_symmetry_space_group_name_Hall 'P 1'
loop_
_atom_site_label
_atom_site_fract_x
_atom_site_fract_y
_atom_site_fract_z
Ba1 0.250 0.250 0.250
Ba2 0.750 0.750 0.750
Lu1 0.000 0.000 0.000
Bi1 0.500 0.500 0.500
O1 0.253 0.253 0.747
O2 0.253 0.747 0.253
O3 0.253 0.747 0.747
O4 0.747 0.253 0.253
O5 0.747 0.253 0.747
O6 0.747 0.747 0.253
```

## Properties
For the total DFT energy (no corrections), the calculation gives -66.4 eV/cell. As for the space-group type: Fm-3m. The formation energy from the elements comes out at -2.863 eV/atom.


This record from Materials Project describes a geometry-optimized Ca3Tm2Ge3O12 structure. The functional is PBE-GGA.

```
data_Ca3Tm2Ge3O12
_cell_length_a 11.160
_cell_length_b 11.160
_cell_length_c 11.160
_cell_angle_alpha 109.47
_cell_angle_beta 109.47
_cell_angle_gamma 109.47
_symmetry_space_group_name_H-M 'P 1'
_symmetry_Int_Tables_number 1
_symmetry_space_group_name_Hall 'P 1'
loop_
_atom_site_label
_atom_site_fract_x
_atom_site_fract_y
_atom_site_fract_z
Ca1 0.125 0.250 0.375
Ca2 0.125 0.375 0.750
Ca3 0.250 0.375 0.125
Ca4 0.250 0.875 0.625
Ca5 0.375 0.125 0.250
Ca6 0.375 0.750 0.125
Ca7 0.625 0.250 0.875
Ca8 0.625 0.875 0.750
Ca9 0.750 0.125 0.375
Ca10 0.750 0.625 0.875
Ca11 0.875 0.625 0.250
Ca12 0.875 0.750 0.625
Tm1 0.000 0.000 0.000
Tm2 0.000 0.000 0.500
Tm3 0.000 0.500 0.000
Tm4 0.000 0.500 0.500
Tm5 0.500 0.000 0.000
Tm6 0.500 0.000 0.500
Tm7 0.500 0.500 0.000
Tm8 0.500 0.500 0.500
Ge1 0.125 0.750 0.875
Ge2 0.125 0.875 0.250
Ge3 0.250 0.125 0.875
Ge4 0.250 0.625 0.375
Ge5 0.375 0.250 0.625
Ge6 0.375 0.625 0.750
Ge7 0.625 0.375 0.250
Ge8 0.625 0.750 0.375
Ge9 0.750 0.375 0.625
Ge10 0.750 0.875 0.125
Ge11 0.875 0.125 0.750
Ge12 0.875 0.250 0.125
O1 0.019 0.213 0.124
O2 0.019 0.306 0.895
O3 0.089 0.713 0.694
O4 0.089 0.876 0.395
O5 0.105 0.624 0.411
O6 0.105 0.981 0.694
O7 0.124 0.019 0.213
O8 0.124 0.605 0.911
O9 0.194 0.213 0.589
O10 0.194 0.481 0.605
O11 0.213 0.124 0.019
O12 0.213 0.589 0.194
O13 0.287 0.306 0.911
O14 0.287 0.481 0.376
O15 0.306 0.895 0.019
O16 0.306 0.911 0.287
O17 0.376 0.287 0.481
O18 0.376 0.589 0.895
O19 0.395 0.089 0.876
O20 0.395 0.806 0.519
O21 0.411 0.105 0.624
O22 0.411 0.806 0.787
O23 0.481 0.376 0.287
O24 0.481 0.605 0.194
O25 0.519 0.395 0.806
O26 0.519 0.624 0.713
O27 0.589 0.194 0.213
O28 0.589 0.895 0.376
O29 0.605 0.194 0.481
O30 0.605 0.911 0.124
O31 0.624 0.411 0.105
O32 0.624 0.713 0.519
O33 0.694 0.089 0.713
O34 0.694 0.105 0.981
O35 0.713 0.519 0.624
O36 0.713 0.694 0.089
O37 0.787 0.411 0.806
O38 0.787 0.876 0.981
O39 0.806 0.519 0.395
O40 0.806 0.787 0.411
O41 0.876 0.395 0.089
O42 0.876 0.981 0.787
O43 0.895 0.019 0.306
O44 0.895 0.376 0.589
O45 0.911 0.124 0.605
O46 0.911 0.287 0.306
O47 0.981 0.694 0.105
O48 0.981 0.787 0.876
```

## Properties
For the total DFT energy (no corrections), the calculation gives -569.9 eV/cell. As for the space-group type: Ia-3d. The formation energy from the elements comes out at -3.126 eV/atom.


This record from Materials Project describes a geometry-optimized EuB2H8 structure. The functional is PBE-GGA.

```
data_EuB2H8
_cell_length_a 6.964
_cell_length_b 8.418
_cell_length_c 7.305
_cell_angle_alpha 90.00
_cell_angle_beta 90.00
_cell_angle_gamma 90.00
_symmetry_space_group_name_H-M 'P 1'
_symmetry_Int_Tables_number 1
_symmetry_space_group_name_Hall 'P 1'
loop_
_atom_site_label
_atom_site_fract_x
_atom_site_fract_y
_atom_site_fract_z
Eu1 0.000 0.125 0.250
Eu2 0.000 0.875 0.750
Eu3 0.500 0.375 0.750
Eu4 0.500 0.625 0.250
B1 0.236 0.109 0.564
B2 0.236 0.891 0.064
B3 0.264 0.391 0.064
B4 0.264 0.609 0.564
B5 0.736 0.391 0.436
B6 0.736 0.609 0.936
B7 0.764 0.109 0.936
B8 0.764 0.891 0.436
H1 0.073 0.155 0.605
H2 0.073 0.845 0.105
H3 0.162 0.392 0.200
H4 0.162 0.608 0.700
H5 0.199 0.305 0.943
H6 0.199 0.695 0.443
H7 0.229 0.027 0.003
H8 0.229 0.973 0.503
H9 0.271 0.473 0.503
H10 0.271 0.527 0.003
H11 0.301 0.195 0.443
H12 0.301 0.805 0.943
H13 0.338 0.108 0.700
H14 0.338 0.892 0.200
H15 0.427 0.345 0.105
H16 0.427 0.655 0.605
H17 0.573 0.345 0.395
H18 0.573 0.655 0.895
H19 0.662 0.108 0.800
H20 0.662 0.892 0.300
H21 0.699 0.195 0.057
H22 0.699 0.805 0.557
H23 0.729 0.473 0.997
H24 0.729 0.527 0.497
H25 0.771 0.027 0.497
H26 0.771 0.973 0.997
H27 0.801 0.305 0.557
H28 0.801 0.695 0.057
H29 0.838 0.392 0.300
H30 0.838 0.608 0.800
H31 0.927 0.155 0.895
H32 0.927 0.845 0.395
```

## Properties
The value obtained for the energy relative to the lowest polymorph listed for this composition is 0 meV per atom. For the total DFT energy (no corrections), the calculation gives -218.2 eV/cell. As for the space-group type: Pbcn. The formation energy from the elements comes out at -0.475 eV/atom.


This record from Materials Project describes a geometry-optimized LiErO2 structure. The functional is PBE-GGA.

```
data_LiErO2
_cell_length_a 4.412
_cell_length_b 4.412
_cell_length_c 10.392
_cell_angle_alpha 90.00
_cell_angle_beta 90.00
_cell_angle_gamma 90.00
_symmetry_space_group_name_H-M 'P 1'
_symmetry_Int_Tables_number 1
_symmetry_space_group_name_Hall 'P 1'
loop_
_atom_site_label
_atom_site_fract_x
_atom_site_fract_y
_atom_site_fract_z
Li1 0.000 0.250 0.375
Li2 0.000 0.750 0.625
Li3 0.500 0.250 0.125
Li4 0.500 0.750 0.875
Er1 0.000 0.250 0.875
Er2 0.000 0.750 0.125
Er3 0.500 0.250 0.625
Er4 0.500 0.750 0.375
O1 0.000 0.250 0.096
O2 0.000 0.250 0.654
O3 0.000 0.750 0.346
O4 0.000 0.750 0.904
O5 0.500 0.250 0.404
O6 0.500 0.250 0.846
O7 0.500 0.750 0.154
O8 0.500 0.750 0.596
```

## Properties
The value obtained for the energy relative to the lowest polymorph listed for this composition is 3 meV per atom. For the total DFT energy (no corrections), the calculation gives -113.1 eV/cell. As for the space-group type: I4_1/amd. The formation energy from the elements comes out at -3.318 eV/atom.